Record 1
A relaxed Sr3La2Mn6O12F6 crystal, computed with PBE+U.

extended XYZ file:
```
58
Lattice="5.816 0.000 0.000 0.280 5.819 0.000 0.044 0.058 22.829" Properties=species:S:1:pos:R:3 pbc="T T T"
Sr 0.000 0.000 0.000
Sr 0.023 0.055 7.618
Sr 3.114 2.833 22.685
Sr 3.114 2.891 14.903
Sr 3.107 2.862 7.437
Sr 5.789 0.222 14.782
La 2.932 3.149 11.233
La 2.921 3.162 3.586
La 3.100 3.184 18.912
La 5.862 0.361 18.942
Mn 2.876 0.235 16.902
Mn 2.887 0.071 13.040
Mn 2.922 0.247 1.811
Mn 2.950 0.264 9.369
Mn 2.985 0.178 20.772
Mn 3.272 5.796 5.497
Mn 5.839 3.012 5.509
Mn 5.915 2.992 20.790
Mn 5.885 2.776 1.814
Mn 5.904 2.784 9.377
Mn 5.938 2.971 13.038
Mn 5.955 2.857 16.896
O 0.542 3.146 11.191
O 0.553 3.068 3.673
O 0.618 3.033 18.816
O 1.240 1.174 16.791
O 1.366 1.367 20.879
O 1.493 1.515 1.516
O 1.523 1.480 9.100
O 1.697 1.703 13.232
O 2.724 5.663 18.816
O 2.809 5.640 3.649
O 2.829 5.615 11.184
O 3.285 0.218 15.030
O 3.341 0.240 22.698
O 3.337 0.207 7.405
O 4.235 4.123 5.373
O 4.274 4.162 12.997
O 4.177 1.763 2.009
O 4.199 1.856 9.622
O 4.291 1.805 17.365
O 4.307 1.742 20.356
O 4.714 4.630 20.414
O 5.600 2.861 15.033
O 5.600 2.803 7.422
O 5.639 3.056 22.696
F 1.571 4.446 5.971
F 1.598 4.473 13.536
F 1.594 1.599 5.734
F 1.823 4.316 21.069
F 1.802 4.280 8.995
F 1.834 4.122 16.634
F 1.829 4.329 1.429
F 4.284 1.555 5.128
F 4.573 4.472 1.931
F 4.484 1.436 12.825
F 4.655 4.597 9.437
F 4.733 4.697 17.230
```

Computed properties:
Size of the total moment   48.000 μB/cell
ΔE_f   -2.87 eV/atom



Record 2
A relaxed Sr5La2Mn8O18F6 crystal, computed with PBE+U.

extended XYZ file:
```
39
Lattice="5.634 0.000 0.000 0.011 5.694 0.000 0.009 0.013 15.327" Properties=species:S:1:pos:R:3 pbc="T T T"
Sr 0.000 0.000 0.000
Sr 0.005 0.018 7.665
Sr 0.072 5.663 11.513
Sr 0.071 5.661 3.842
Sr 2.826 2.800 0.014
La 2.833 2.851 11.440
La 3.003 2.841 3.898
Mn 0.049 2.854 5.849
Mn 0.055 2.850 9.506
Mn 0.107 2.782 13.396
Mn 2.777 0.062 13.400
Mn 2.841 5.671 5.841
Mn 2.885 5.674 9.511
Mn 2.928 0.051 1.951
Mn 5.621 2.773 1.948
O 0.016 3.133 11.494
O 0.064 2.479 7.678
O 0.064 2.545 0.013
O 1.324 4.383 5.837
O 1.458 4.263 13.555
O 1.485 1.440 9.916
O 1.486 1.468 13.153
O 1.563 1.541 2.226
O 2.829 0.258 0.013
O 2.853 0.332 7.678
O 2.867 5.306 11.496
O 2.880 5.304 3.857
O 4.196 4.194 1.770
O 4.212 1.473 13.158
O 4.292 1.373 5.469
O 4.293 1.398 2.160
O 4.340 4.326 9.505
O 5.571 3.136 3.862
F 1.376 4.337 1.735
F 1.436 4.307 9.392
F 1.480 1.459 5.427
F 4.218 4.226 5.999
F 4.266 4.272 13.645
F 4.297 1.395 9.886
```

Computed properties:
Size of the total moment   30.000 μB/cell
ΔE_f   -2.76 eV/atom



Record 3
A relaxed La3Mo4O16F crystal, computed with PBE+U.

extended XYZ file:
```
48
Lattice="7.338 0.000 0.000 -1.340 7.408 0.000 -2.885 -3.791 14.085" Properties=species:S:1:pos:R:3 pbc="T T T"
La -0.097 0.291 3.366
La -0.450 3.922 5.325
La 0.877 4.445 1.485
La 2.236 -0.828 12.600
La 3.563 -0.306 8.760
La 3.210 3.326 10.718
Mo -1.784 0.012 11.698
Mo -0.092 0.090 6.887
Mo 2.106 0.598 0.199
Mo -0.254 4.298 9.466
Mo 3.366 -0.681 4.619
Mo 1.007 3.018 13.886
Mo 3.205 3.526 7.198
Mo 4.897 3.604 2.387
O -1.457 5.005 3.035
O -1.441 -0.439 7.916
O -2.752 0.502 13.142
O -1.949 1.237 10.435
O -2.857 3.671 12.761
O -0.561 1.536 5.903
O -1.922 4.094 10.074
O 0.322 -1.052 5.516
O 1.242 2.092 0.613
O 0.227 6.919 1.607
O -0.306 4.528 7.689
O -0.084 -0.373 12.121
O 1.236 5.252 3.882
O 2.180 6.127 0.036
O 1.324 0.381 7.906
O 2.317 0.692 4.207
O 0.796 2.925 9.878
O 1.789 3.236 6.179
O 0.933 -2.511 14.048
O 1.877 -1.636 10.203
O 3.197 3.989 1.964
O 3.419 -0.911 6.396
O 2.885 -3.303 12.478
O 1.871 1.524 13.472
O 2.791 4.669 8.569
O 5.034 -0.478 4.010
O 3.674 2.081 8.182
O 5.969 -0.055 1.324
O 5.062 2.379 3.650
O 5.865 3.115 0.943
O 4.554 4.055 6.168
O 4.570 -1.389 11.050
F 0.382 2.711 3.267
F 2.731 0.905 10.818
```

Computed properties:
Energy above the lowest structure with this stoichiometry   0.00 eV per formula unit
Size of the total moment   0.000 μB/cell
ΔE_f   -2.75 eV/atom



Record 4
A relaxed LiMn2F5 crystal, computed with PBE+U.

extended XYZ file:
```
32
Lattice="7.494 0.000 0.000 0.000 5.224 0.000 0.000 0.000 9.931" Properties=species:S:1:pos:R:3 pbc="T T T"
Li 0.900 1.283 0.000
Li 2.847 3.895 4.966
Li 4.647 1.329 0.000
Li 6.594 3.941 4.966
Mn 0.175 1.364 6.347
Mn 1.636 1.389 3.560
Mn 2.111 4.001 8.526
Mn 3.571 3.976 1.381
Mn 3.922 1.248 6.347
Mn 5.383 1.223 3.560
Mn 5.858 3.835 8.526
Mn 7.318 3.860 1.381
F 0.273 3.029 9.261
F 0.494 1.873 1.841
F 0.935 5.089 4.888
F 1.144 0.597 8.045
F 1.659 4.837 0.854
F 2.088 2.225 5.820
F 2.603 3.209 3.080
F 2.812 2.477 9.854
F 3.253 4.485 6.807
F 3.474 0.417 4.295
F 4.020 4.807 9.261
F 4.241 0.739 1.841
F 4.681 2.747 4.888
F 4.891 2.015 8.045
F 5.406 2.999 0.854
F 5.835 0.387 5.820
F 6.350 4.626 3.080
F 6.559 0.135 9.854
F 7.000 3.351 6.807
F 7.221 2.195 4.295
```

Computed properties:
Energy above the lowest structure with this stoichiometry   0.47 eV per formula unit
Size of the total moment   40.001 μB/cell
ΔE_f   -2.93 eV/atom



Record 5
A relaxed LiMn2F7 crystal, computed with PBE+U.

extended XYZ file:
```
20
Lattice="5.260 0.000 0.000 0.000 5.533 0.000 -1.771 0.000 9.672" Properties=species:S:1:pos:R:3 pbc="T T T"
Li -0.443 0.464 2.418
Li -1.328 5.068 7.254
Mn 1.267 1.409 5.520
Mn 2.152 4.124 0.684
Mn 1.337 1.409 8.988
Mn 2.222 4.124 4.152
F -0.227 0.557 6.141
F 0.658 4.976 1.305
F -0.276 2.238 9.487
F 0.609 3.294 4.651
F 1.072 0.568 3.819
F 0.186 4.965 8.654
F 1.302 2.289 7.254
F 2.187 3.244 2.418
F 3.303 0.568 1.017
F 2.417 4.965 5.853
F 2.880 2.238 5.021
F 3.765 3.294 0.185
F 2.831 0.557 8.366
F 3.716 4.976 3.530
```

Computed properties:
Energy above the lowest structure with this stoichiometry   0.56 eV per formula unit
Size of the total moment   16.003 μB/cell
ΔE_f   -2.79 eV/atom



Record 6
A relaxed LiMnF3 crystal, computed with PBE+U.

extended XYZ file:
```
50
Lattice="7.030 0.000 0.000 -0.245 8.004 0.000 -0.829 -3.417 11.763" Properties=species:S:1:pos:R:3 pbc="T T T"
Li -0.159 1.112 1.625
Li 0.450 0.463 5.552
Li 0.660 1.139 8.718
Li 1.451 5.603 1.008
Li 1.926 6.121 4.110
Li 4.030 -1.534 7.653
Li 4.504 -1.016 10.754
Li 5.295 3.448 3.045
Li 5.506 4.124 6.210
Li 6.115 3.475 10.137
Mn -0.061 -1.773 7.961
Mn 0.941 -1.109 11.476
Mn 1.821 2.980 3.129
Mn 2.027 3.601 6.580
Mn 2.298 4.328 9.946
Mn 3.657 0.259 1.817
Mn 3.928 0.986 5.182
Mn 4.135 1.608 8.633
Mn 5.015 5.696 0.287
Mn 6.016 6.360 3.801
F -0.132 2.532 2.826
F -0.828 2.454 11.690
F 0.093 0.173 7.288
F 0.124 4.212 7.152
F 0.765 6.074 2.647
F 0.847 -1.303 5.202
F 0.323 4.878 10.035
F 1.122 -0.489 9.561
F 1.778 1.082 1.616
F 1.842 1.793 5.200
F 2.133 3.815 1.179
F 2.333 4.365 4.623
F 2.113 2.471 8.581
F 3.010 6.669 0.330
F 2.482 5.177 7.997
F 3.474 -0.589 3.765
F 2.946 -2.081 11.433
F 3.843 2.117 3.181
F 3.622 0.222 7.139
F 3.823 0.772 10.583
F 4.113 2.795 6.563
F 4.177 3.505 10.146
F 4.834 5.076 2.202
F 5.632 -0.291 1.728
F 5.108 5.890 6.560
F 5.191 -1.487 9.115
F 5.832 0.376 4.610
F 5.863 4.414 4.475
F 6.784 2.134 0.072
F 6.087 2.056 8.937
```

Computed properties:
Energy above the lowest structure with this stoichiometry   0.29 eV per formula unit
Size of the total moment   49.993 μB/cell
ΔE_f   -2.97 eV/atom



Record 7
A relaxed Li5MnF8 crystal, computed with PBE+U.

extended XYZ file:
```
14
Lattice="-2.858 2.918 4.446 2.858 -2.918 4.446 2.858 2.918 -4.446" Properties=species:S:1:pos:R:3 pbc="T T T"
Li 0.000 0.000 0.000
Li 1.429 1.459 -2.223
Li 1.429 -1.459 2.223
Li -1.429 1.459 2.223
Li 1.429 1.459 2.223
Mn 0.000 2.918 0.000
F 0.000 0.000 2.008
F 2.858 0.000 2.323
F 1.299 1.558 0.000
F 1.559 -1.360 4.446
F 1.299 4.278 0.000
F 1.559 1.360 4.446
F 0.000 2.918 2.123
F 0.000 0.000 6.885
```

Computed properties:
Energy above the lowest structure with this stoichiometry   0.05 eV per formula unit
Size of the total moment   4.000 μB/cell
ΔE_f   -3.02 eV/atom



Record 8
A relaxed LiMn2F5 crystal, computed with PBE+U.

extended XYZ file:
```
32
Lattice="8.691 0.000 0.000 0.000 6.742 0.000 0.000 0.000 8.122" Properties=species:S:1:pos:R:3 pbc="T T T"
Li 1.589 1.686 1.348
Li 2.756 5.057 5.409
Li 5.935 1.686 2.712
Li 7.102 5.057 6.773
Mn 0.000 0.000 4.061
Mn 0.000 3.371 4.061
Mn 1.476 5.057 0.829
Mn 2.869 1.686 4.890
Mn 4.346 0.000 0.000
Mn 4.346 3.371 0.000
Mn 5.822 5.057 3.231
Mn 7.215 1.686 7.292
F 0.078 1.686 0.359
F 0.671 5.057 2.810
F 1.056 1.686 3.194
F 1.796 3.449 5.164
F 1.796 6.665 5.164
F 2.549 0.077 1.103
F 2.549 3.294 1.103
F 3.290 5.057 7.254
F 3.675 1.686 6.870
F 4.267 5.057 4.419
F 4.424 1.686 3.702
F 5.016 5.057 1.251
F 5.401 1.686 0.867
F 6.142 3.449 7.019
F 6.142 6.665 7.019
F 6.895 0.077 2.958
F 6.895 3.294 2.958
F 7.635 5.057 4.928
F 8.021 1.686 5.312
F 8.613 5.057 7.763
```

Computed properties:
Energy above the lowest structure with this stoichiometry   0.30 eV per formula unit
Size of the total moment   40.000 μB/cell
ΔE_f   -2.95 eV/atom